No. 1
DFT (PBE) results for Na6OsN4 after structural relaxation.

DFT total energy (eV per atom): -4.721
Calculated formation energy (eV per formula unit): -0.87

Lattice parameters (Å, degrees): 7.675 7.675 6.068 90.00 90.00 90.00
Positions (direct):
Os 0.000 0.000 0.000
Os 0.500 0.500 0.500
Na 0.292 0.708 0.000
Na 0.208 0.208 0.500
Na 0.792 0.792 0.500
Na 0.708 0.292 0.000
Na 0.000 0.500 0.702
Na 0.208 0.792 0.500
Na 0.000 0.500 0.202
Na 0.708 0.708 0.000
Na 0.292 0.292 0.000
Na 0.792 0.208 0.500
Na 0.500 0.000 0.298
Na 0.500 0.000 0.798
N 0.204 0.000 0.166
N 0.500 0.704 0.666
N 0.796 0.000 0.166
N 0.500 0.296 0.666
N 0.704 0.500 0.334
N 0.000 0.796 0.834
N 0.296 0.500 0.334
N 0.000 0.204 0.834

=====

No. 2
DFT (PBE) results for Na15Os7N19 after structural relaxation.

DFT total energy (eV per atom): -6.217
Calculated formation energy (eV per formula unit): -4.92

Lattice parameters (Å, degrees): 6.239 11.693 17.814 89.29 94.75 100.89
Positions (direct):
N 0.809 0.809 0.640
N 0.289 0.579 0.838
N 0.750 0.660 0.084
N 0.427 0.595 0.586
N 0.099 0.324 0.472
N 0.856 0.472 0.913
N 0.893 0.304 0.616
N 0.249 0.169 0.581
N 0.711 0.421 0.162
N 0.107 0.696 0.384
N 0.573 0.405 0.414
N 0.466 0.658 0.287
N 0.101 0.990 0.252
N 0.392 0.216 0.207
N 0.405 0.203 0.046
N 0.525 0.862 0.113
N 0.132 0.452 0.329
N 0.475 0.138 0.887
N 0.972 0.903 0.061
N 0.595 0.797 0.954
N 0.608 0.784 0.793
N 0.534 0.342 0.713
N 0.851 0.209 0.118
N 0.751 0.831 0.419
N 0.989 0.656 0.224
N 0.144 0.528 0.087
N 0.899 0.010 0.748
N 0.901 0.676 0.528
N 0.028 0.097 0.939
N 0.149 0.791 0.882
N 0.216 0.902 0.482
N 0.191 0.191 0.360
N 0.868 0.548 0.671
N 0.011 0.344 0.776
N 0.562 0.073 0.325
N 0.250 0.340 0.916
N 0.784 0.098 0.518
N 0.438 0.927 0.675
Os 0.292 0.192 0.945
Os 0.310 0.114 0.284
Os 0.394 0.736 0.869
Os 0.916 0.552 0.134
Os 0.186 0.609 0.304
Os 0.814 0.391 0.696
Os 0.708 0.808 0.055
Os 0.290 0.356 0.389
Os 0.084 0.448 0.866
Os 0.710 0.644 0.611
Os 0.000 0.217 0.546
Os 0.000 0.783 0.454
Os 0.690 0.886 0.716
Os 0.606 0.264 0.131
Na 0.558 0.358 0.844
Na 0.173 0.841 0.169
Na 0.326 0.504 0.713
Na 0.784 0.264 0.370
Na 0.272 0.968 0.797
Na 0.902 0.030 0.394
Na 0.825 0.789 0.286
Na 0.989 0.350 0.021
Na 0.827 0.159 0.831
Na 0.471 0.374 0.557
Na 0.216 0.736 0.630
Na 0.000 0.500 0.500
Na 0.595 0.129 0.641
Na 0.402 0.104 0.465
Na 0.714 0.089 0.006
Na 0.872 0.908 0.887
Na 0.598 0.896 0.535
Na 0.674 0.496 0.287
Na 0.128 0.092 0.113
Na 0.286 0.911 0.994
Na 0.011 0.650 0.979
Na 0.405 0.871 0.359
Na 0.884 0.660 0.794
Na 0.728 0.032 0.203
Na 0.175 0.211 0.714
Na 0.442 0.642 0.156
Na 0.098 0.970 0.606
Na 0.116 0.340 0.206
Na 0.529 0.626 0.443
Na 0.500 0.500 0.000

=====

No. 3
DFT (PBE) results for Na3P6N11 after structural relaxation.

DFT total energy (eV per atom): -6.966
Calculated formation energy (eV per formula unit): -15.14

Lattice parameters (Å, degrees): 10.191 10.191 10.191 90.00 90.00 90.00
Positions (direct):
Na 0.874 0.874 0.874
Na 0.626 0.126 0.374
Na 0.478 0.022 0.978
Na 0.219 0.219 0.219
Na 0.781 0.719 0.281
Na 0.719 0.281 0.781
Na 0.281 0.781 0.719
Na 0.978 0.478 0.022
Na 0.522 0.522 0.522
Na 0.022 0.978 0.478
Na 0.374 0.626 0.126
Na 0.126 0.374 0.626
N 0.039 0.371 0.272
N 0.961 0.871 0.228
N 0.539 0.375 0.213
N 0.728 0.539 0.129
N 0.871 0.228 0.961
N 0.228 0.961 0.871
N 0.039 0.125 0.787
N 0.375 0.213 0.539
N 0.786 0.521 0.879
N 0.479 0.379 0.714
N 0.272 0.039 0.371
N 0.379 0.714 0.479
N 0.461 0.875 0.287
N 0.287 0.461 0.875
N 0.787 0.039 0.125
N 0.961 0.625 0.713
N 0.714 0.479 0.379
N 0.711 0.711 0.711
N 0.036 0.036 0.036
N 0.289 0.211 0.789
N 0.464 0.964 0.536
N 0.536 0.464 0.964
N 0.629 0.772 0.461
N 0.539 0.129 0.728
N 0.461 0.629 0.772
N 0.875 0.287 0.461
N 0.211 0.789 0.289
N 0.713 0.961 0.625
N 0.371 0.272 0.039
N 0.879 0.786 0.521
N 0.286 0.979 0.121
N 0.521 0.879 0.786
N 0.621 0.214 0.021
N 0.213 0.539 0.375
N 0.129 0.728 0.539
N 0.789 0.289 0.211
N 0.214 0.021 0.621
N 0.772 0.461 0.629
N 0.979 0.121 0.286
N 0.125 0.787 0.039
N 0.021 0.621 0.214
N 0.964 0.536 0.464
N 0.625 0.713 0.961
N 0.121 0.286 0.979
P 0.484 0.826 0.437
P 0.426 0.233 0.689
P 0.311 0.926 0.267
P 0.016 0.174 0.937
P 0.174 0.937 0.016
P 0.437 0.484 0.826
P 0.233 0.689 0.426
P 0.516 0.326 0.063
P 0.674 0.563 0.984
P 0.189 0.074 0.767
P 0.826 0.437 0.484
P 0.926 0.267 0.311
P 0.063 0.516 0.326
P 0.733 0.811 0.574
P 0.563 0.984 0.674
P 0.267 0.311 0.926
P 0.984 0.674 0.563
P 0.811 0.574 0.733
P 0.574 0.733 0.811
P 0.074 0.767 0.189
P 0.326 0.063 0.516
P 0.767 0.189 0.074
P 0.937 0.016 0.174
P 0.689 0.426 0.233

=====

Q: Which formula does entry 3 have?
A: Na3P6N11

=====

Q: Which value of calculated formation energy does entry 1 give?
A: -0.87 eV per formula unit

=====

Q: What is the DFT total energy in the first record?
A: -4.721 eV per atom